Crystalline Al7Cu2Ru at its relaxed geometry. Source: the Materials Project database, functional PBE.

Geometry as CIF:
```
data_Al7Cu2Ru
_chemical_formula_sum 'Al28 Cu8 Ru4'
_cell_length_a 6.447
_cell_length_b 6.447
_cell_length_c 14.831
_cell_angle_alpha 90.00
_cell_angle_beta 90.00
_cell_angle_gamma 90.00
_space_group_name_H-M_alt 'P 4/m n c'
_space_group_IT_number 128
_space_group_name_Hall '-P 4 2n'
loop_
_atom_site_label
_atom_site_type_symbol
_atom_site_fract_x
_atom_site_fract_y
_atom_site_fract_z
Al1 Al 0.000 0.000 0.129
Al2 Al 0.085 0.300 0.402
Al3 Al 0.160 0.660 0.250
Cu1 Cu 0.086 0.732 0.000
Ru1 Ru 0.000 0.000 0.300
```

Formation enthalpy at 0 K ... -0.3432 eV/atom